Record 1
Density functional theory data (PBE) for crystalline TmCdAg2 at its relaxed geometry. Values from VASP.

Cell and atoms, written as Quantum ESPRESSO input:
```
&SYSTEM
  ibrav = 0, nat = 4, ntyp = 3
/
ATOMIC_SPECIES
Tm 168.93 Tm.upf
Cd 112.41 Cd.upf
Ag 107.87 Ag.upf
CELL_PARAMETERS angstrom
0.000 3.471 3.471
3.471 0.000 3.471
3.471 3.471 0.000
ATOMIC_POSITIONS crystal
Tm 0.500 0.500 0.500
Cd 0.000 0.000 0.000
Ag 0.250 0.250 0.250
Ag 0.750 0.750 0.750
```

Calculated values
Space group ... Fm-3m, No. 225
Uncorrected energy ... -3.05 eV/atom


Record 2
Density functional theory data (PBE) for crystalline K3Nb at its relaxed geometry. Values from VASP.

Cell and atoms, written as Quantum ESPRESSO input:
```
&SYSTEM
  ibrav = 0, nat = 4, ntyp = 2
/
ATOMIC_SPECIES
K 39.10 K.upf
Nb 92.91 Nb.upf
CELL_PARAMETERS angstrom
-2.964 2.964 5.510
2.964 -2.964 5.510
2.964 2.964 -5.510
ATOMIC_POSITIONS crystal
K 0.750 0.250 0.500
K 0.250 0.750 0.500
K 0.500 0.500 0.000
Nb 0.000 0.000 0.000
```

Calculated values
Energy above the most stable polymorph in this dataset ... 0.0000 eV per atom
Space group ... I4/mmm, No. 139
Uncorrected energy ... -2.22 eV/atom


Record 3
Density functional theory data (PBE) for crystalline GaNi3 at its relaxed geometry. Values from VASP.

Cell and atoms, written as Quantum ESPRESSO input:
```
&SYSTEM
  ibrav = 0, nat = 4, ntyp = 2
/
ATOMIC_SPECIES
Ga 69.72 Ga.upf
Ni 58.69 Ni.upf
CELL_PARAMETERS angstrom
-1.723 0.396 -3.107
2.409 -2.098 -1.603
-2.001 -2.867 0.744
ATOMIC_POSITIONS crystal
Ga 0.000 0.000 0.000
Ni 0.500 0.000 0.500
Ni 0.000 0.500 0.500
Ni 0.500 0.500 0.000
```

Calculated values
Space group ... Pm-3m, No. 221
Uncorrected energy ... -5.38 eV/atom


Record 4
Density functional theory data (PBE) for crystalline Ce4Al2O9 at its relaxed geometry. Values from VASP.

Cell and atoms, written as Quantum ESPRESSO input:
```
&SYSTEM
  ibrav = 0, nat = 60, ntyp = 3
/
ATOMIC_SPECIES
Ce 140.12 Ce.upf
Al 26.98 Al.upf
O 16.00 O.upf
CELL_PARAMETERS angstrom
7.376 0.000 -2.610
0.000 10.980 0.000
0.007 0.000 11.472
ATOMIC_POSITIONS crystal
Ce 0.525 0.402 0.290
Ce 0.475 0.902 0.210
Ce 0.475 0.598 0.710
Ce 0.525 0.098 0.790
Ce 0.026 0.414 0.308
Ce 0.974 0.914 0.192
Ce 0.974 0.586 0.692
Ce 0.026 0.086 0.808
Ce 0.334 0.374 0.929
Ce 0.666 0.874 0.571
Ce 0.666 0.626 0.071
Ce 0.334 0.126 0.429
Ce 0.837 0.375 0.916
Ce 0.163 0.875 0.584
Ce 0.163 0.625 0.084
Ce 0.837 0.125 0.416
Al 0.224 0.309 0.629
Al 0.776 0.809 0.871
Al 0.776 0.691 0.371
Al 0.224 0.191 0.129
Al 0.651 0.311 0.619
Al 0.349 0.811 0.881
Al 0.349 0.689 0.381
Al 0.651 0.189 0.119
O 0.783 0.279 0.247
O 0.217 0.779 0.253
O 0.217 0.721 0.753
O 0.783 0.221 0.747
O 0.231 0.277 0.262
O 0.769 0.777 0.238
O 0.769 0.723 0.738
O 0.231 0.223 0.762
O 0.216 0.464 0.667
O 0.784 0.964 0.833
O 0.784 0.536 0.333
O 0.216 0.036 0.167
O 0.080 0.265 0.481
O 0.920 0.765 0.019
O 0.920 0.735 0.519
O 0.080 0.235 0.981
O 0.434 0.262 0.617
O 0.566 0.762 0.883
O 0.566 0.738 0.383
O 0.434 0.238 0.117
O 0.640 0.271 0.468
O 0.360 0.771 0.032
O 0.360 0.729 0.532
O 0.640 0.229 0.968
O 0.702 0.463 0.671
O 0.298 0.963 0.829
O 0.298 0.537 0.329
O 0.702 0.037 0.171
O 0.075 0.503 0.894
O 0.925 0.003 0.606
O 0.925 0.497 0.106
O 0.075 0.997 0.394
O 0.568 0.494 0.896
O 0.432 0.994 0.604
O 0.432 0.506 0.104
O 0.568 0.006 0.396
```

Calculated values
Space group ... P2_1/c, No. 14
Uncorrected energy ... -8.30 eV/atom


Record 5
Density functional theory data (PBE) for crystalline Ce8Re13B12 at its relaxed geometry. Values from VASP.

Cell and atoms, written as Quantum ESPRESSO input:
```
&SYSTEM
  ibrav = 0, nat = 33, ntyp = 3
/
ATOMIC_SPECIES
Ce 140.12 Ce.upf
Re 186.21 Re.upf
B 10.81 B.upf
CELL_PARAMETERS angstrom
5.753 -5.328 0.000
5.753 5.328 0.000
0.818 0.000 7.798
ATOMIC_POSITIONS crystal
Ce 0.645 0.645 0.645
Ce 0.355 0.355 0.355
Ce 0.184 0.184 0.685
Ce 0.685 0.184 0.184
Ce 0.184 0.685 0.184
Ce 0.816 0.816 0.315
Ce 0.315 0.816 0.816
Ce 0.816 0.315 0.816
Re 0.000 0.000 0.000
Re 0.595 0.067 0.595
Re 0.595 0.595 0.067
Re 0.067 0.595 0.595
Re 0.405 0.933 0.405
Re 0.405 0.405 0.933
Re 0.933 0.405 0.405
Re 0.923 0.923 0.670
Re 0.670 0.923 0.923
Re 0.923 0.670 0.923
Re 0.077 0.077 0.330
Re 0.330 0.077 0.077
Re 0.077 0.330 0.077
B 0.153 0.847 0.500
B 0.500 0.153 0.847
B 0.847 0.500 0.153
B 0.500 0.847 0.153
B 0.153 0.500 0.847
B 0.847 0.153 0.500
B 0.671 0.500 0.329
B 0.329 0.671 0.500
B 0.500 0.329 0.671
B 0.329 0.500 0.671
B 0.671 0.329 0.500
B 0.500 0.671 0.329
```

Calculated values
Space group ... R-3m, No. 166
Uncorrected energy ... -9.17 eV/atom


Record 6
Density functional theory data (PBE) for crystalline Na3YCl6 at its relaxed geometry. Values from VASP.

Cell and atoms, written as Quantum ESPRESSO input:
```
&SYSTEM
  ibrav = 0, nat = 20, ntyp = 3
/
ATOMIC_SPECIES
Na 22.99 Na.upf
Y 88.91 Y.upf
Cl 35.45 Cl.upf
CELL_PARAMETERS angstrom
-7.055 0.046 1.963
-0.788 -6.348 -2.684
1.729 -10.394 6.458
ATOMIC_POSITIONS crystal
Na 0.500 0.500 0.500
Na 0.000 0.500 0.000
Na 0.926 0.282 0.741
Na 0.426 0.718 0.759
Na 0.074 0.718 0.259
Na 0.574 0.282 0.241
Y 0.000 0.000 0.500
Y 0.500 0.000 0.000
Cl 0.934 0.100 0.262
Cl 0.305 0.248 0.421
Cl 0.805 0.752 0.079
Cl 0.695 0.752 0.579
Cl 0.321 0.621 0.065
Cl 0.821 0.379 0.435
Cl 0.679 0.379 0.935
Cl 0.179 0.621 0.565
Cl 0.066 0.900 0.738
Cl 0.566 0.100 0.762
Cl 0.195 0.248 0.921
Cl 0.434 0.900 0.238
```

Calculated values
Energy above the most stable polymorph in this dataset ... 0.0027 eV per atom
Space group ... P2_1/c, No. 14
Uncorrected energy ... -4.15 eV/atom


Record 7
Density functional theory data (PBE) for crystalline MgP2O10 at its relaxed geometry. Values from VASP.

Cell and atoms, written as Quantum ESPRESSO input:
```
&SYSTEM
  ibrav = 0, nat = 26, ntyp = 3
/
ATOMIC_SPECIES
Mg 24.30 Mg.upf
P 30.97 P.upf
O 16.00 O.upf
CELL_PARAMETERS angstrom
9.481 0.000 0.000
0.000 5.431 0.000
0.000 5.110 6.623
ATOMIC_POSITIONS crystal
Mg 0.000 0.000 0.000
Mg 0.500 0.000 0.500
P 0.830 0.692 0.638
P 0.170 0.308 0.362
P 0.330 0.308 0.862
P 0.670 0.692 0.138
O 0.373 0.022 0.860
O 0.627 0.978 0.140
O 0.873 0.978 0.640
O 0.127 0.022 0.360
O 0.411 0.248 0.064
O 0.589 0.752 0.936
O 0.911 0.752 0.436
O 0.089 0.248 0.564
O 0.384 0.616 0.689
O 0.616 0.384 0.311
O 0.884 0.384 0.811
O 0.116 0.616 0.189
O 0.031 0.954 0.707
O 0.969 0.046 0.293
O 0.531 0.046 0.793
O 0.469 0.954 0.207
O 0.676 0.740 0.593
O 0.324 0.260 0.407
O 0.176 0.260 0.907
O 0.824 0.740 0.093
```

Calculated values
Energy above the most stable polymorph in this dataset ... 0.0000 eV per atom
Space group ... P2_1/c, No. 14
Uncorrected energy ... -6.11 eV/atom


Record 8
Density functional theory data (PBE) for crystalline MgTi4Pb2O9F2 at its relaxed geometry. Values from VASP.

Cell and atoms, written as Quantum ESPRESSO input:
```
&SYSTEM
  ibrav = 0, nat = 18, ntyp = 5
/
ATOMIC_SPECIES
Mg 24.30 Mg.upf
Ti 47.87 Ti.upf
Pb 207.20 Pb.upf
O 16.00 O.upf
F 19.00 F.upf
CELL_PARAMETERS angstrom
0.000 3.759 0.000
-6.096 1.879 5.784
5.457 1.879 5.523
ATOMIC_POSITIONS crystal
Mg 0.000 0.500 0.500
Ti 0.338 0.117 0.208
Ti 0.662 0.883 0.792
Ti 0.355 0.781 0.508
Ti 0.645 0.219 0.492
Pb 0.912 0.314 0.861
Pb 0.088 0.686 0.139
O 0.799 0.171 0.232
O 0.201 0.829 0.768
O 0.146 0.270 0.438
O 0.854 0.730 0.562
O 0.500 0.000 0.000
O 0.526 0.593 0.355
O 0.474 0.407 0.645
O 0.360 0.932 0.348
O 0.640 0.068 0.652
F 0.281 0.373 0.065
F 0.719 0.627 0.935
```

Calculated values
Energy above the most stable polymorph in this dataset ... 0.0630 eV per atom
Space group ... C2/m, No. 12
Uncorrected energy ... -7.47 eV/atom


Record 9
Density functional theory data (PBE) for crystalline Tm3B5O12 at its relaxed geometry. Values from VASP.

Cell and atoms, written as Quantum ESPRESSO input:
```
&SYSTEM
  ibrav = 0, nat = 80, ntyp = 3
/
ATOMIC_SPECIES
Tm 168.93 Tm.upf
B 10.81 B.upf
O 16.00 O.upf
CELL_PARAMETERS angstrom
4.618 0.000 0.000
0.000 12.538 0.000
0.000 0.000 12.844
ATOMIC_POSITIONS crystal
Tm 0.999 0.807 0.865
Tm 0.000 0.000 0.632
Tm 0.001 0.193 0.135
Tm 0.999 0.807 0.135
Tm 0.000 0.500 0.132
Tm 0.999 0.693 0.365
Tm 0.001 0.307 0.365
Tm 0.001 0.193 0.865
Tm 0.000 0.000 0.368
Tm 0.000 0.500 0.868
Tm 0.001 0.307 0.635
Tm 0.999 0.693 0.635
B 0.500 0.000 0.162
B 0.530 0.151 0.298
B 0.470 0.651 0.798
B 0.470 0.849 0.702
B 0.456 0.374 0.500
B 0.500 0.500 0.662
B 0.544 0.626 0.500
B 0.544 0.874 0.000
B 0.540 0.850 0.500
B 0.530 0.349 0.202
B 0.500 0.500 0.338
B 0.500 0.000 0.838
B 0.460 0.350 0.000
B 0.540 0.650 0.000
B 0.530 0.349 0.798
B 0.470 0.651 0.202
B 0.460 0.150 0.500
B 0.470 0.849 0.298
B 0.530 0.151 0.702
B 0.456 0.126 0.000
O 0.310 0.935 0.766
O 0.690 0.065 0.766
O 0.334 0.426 0.404
O 0.759 0.360 0.500
O 0.241 0.640 0.500
O 0.343 0.855 0.595
O 0.657 0.145 0.595
O 0.698 0.762 0.000
O 0.219 0.348 0.796
O 0.657 0.355 0.095
O 0.302 0.238 0.000
O 0.310 0.565 0.266
O 0.690 0.435 0.734
O 0.343 0.855 0.405
O 0.781 0.652 0.204
O 0.658 0.250 0.750
O 0.334 0.426 0.596
O 0.310 0.565 0.734
O 0.343 0.645 0.095
O 0.219 0.152 0.704
O 0.657 0.355 0.905
O 0.342 0.750 0.750
O 0.219 0.152 0.296
O 0.666 0.926 0.096
O 0.657 0.145 0.405
O 0.658 0.250 0.250
O 0.666 0.574 0.404
O 0.759 0.140 0.000
O 0.690 0.065 0.234
O 0.698 0.738 0.500
O 0.343 0.645 0.905
O 0.239 0.071 0.500
O 0.666 0.574 0.596
O 0.241 0.860 0.000
O 0.781 0.848 0.296
O 0.666 0.926 0.904
O 0.781 0.652 0.796
O 0.302 0.262 0.500
O 0.761 0.571 0.000
O 0.310 0.935 0.234
O 0.334 0.074 0.096
O 0.761 0.929 0.500
O 0.239 0.429 0.000
O 0.342 0.750 0.250
O 0.219 0.348 0.204
O 0.781 0.848 0.704
O 0.690 0.435 0.266
O 0.334 0.074 0.904
```

Calculated values
Space group ... Pmna, No. 53
Uncorrected energy ... -8.27 eV/atom


Record 10
Density functional theory data (PBE) for crystalline Ho2Au at its relaxed geometry. Values from VASP.

Cell and atoms, written as Quantum ESPRESSO input:
```
&SYSTEM
  ibrav = 0, nat = 12, ntyp = 2
/
ATOMIC_SPECIES
Ho 164.93 Ho.upf
Au 196.97 Au.upf
CELL_PARAMETERS angstrom
4.948 0.000 0.000
0.000 7.084 0.000
0.000 0.000 8.917
ATOMIC_POSITIONS crystal
Ho 0.250 0.487 0.176
Ho 0.750 0.513 0.824
Ho 0.250 0.987 0.324
Ho 0.750 0.013 0.676
Ho 0.750 0.649 0.419
Ho 0.250 0.351 0.581
Ho 0.750 0.149 0.081
Ho 0.250 0.851 0.919
Au 0.250 0.259 0.901
Au 0.750 0.741 0.099
Au 0.250 0.759 0.599
Au 0.750 0.241 0.401
```

Calculated values
Space group ... Pnma, No. 62
Uncorrected energy ... -4.79 eV/atom


Record 11
Density functional theory data (PBE) for crystalline CsK2BiCl6 at its relaxed geometry. Values from VASP.

Cell and atoms, written as Quantum ESPRESSO input:
```
&SYSTEM
  ibrav = 0, nat = 40, ntyp = 4
/
ATOMIC_SPECIES
Cs 132.91 Cs.upf
K 39.10 K.upf
Bi 208.98 Bi.upf
Cl 35.45 Cl.upf
CELL_PARAMETERS angstrom
3.953 13.033 0.000
-3.953 13.033 0.000
0.000 2.081 13.094
ATOMIC_POSITIONS crystal
Cs 0.788 0.315 0.570
Cs 0.212 0.685 0.430
Cs 0.315 0.788 0.070
Cs 0.685 0.212 0.930
K 0.470 0.843 0.369
K 0.977 0.347 0.201
K 0.653 0.023 0.299
K 0.530 0.157 0.631
K 0.157 0.530 0.131
K 0.023 0.653 0.799
K 0.843 0.470 0.869
K 0.347 0.977 0.701
Bi 0.000 0.500 0.500
Bi 0.222 0.778 0.750
Bi 0.778 0.222 0.250
Bi 0.500 0.000 0.000
Cl 0.139 0.361 0.692
Cl 0.392 0.478 0.685
Cl 0.141 0.205 0.473
Cl 0.698 0.651 0.574
Cl 0.651 0.698 0.074
Cl 0.478 0.392 0.185
Cl 0.795 0.859 0.027
Cl 0.907 0.964 0.701
Cl 0.861 0.639 0.308
Cl 0.708 0.176 0.438
Cl 0.205 0.141 0.973
Cl 0.361 0.139 0.192
Cl 0.292 0.824 0.562
Cl 0.859 0.795 0.527
Cl 0.093 0.036 0.299
Cl 0.302 0.349 0.426
Cl 0.639 0.861 0.808
Cl 0.522 0.608 0.815
Cl 0.036 0.093 0.799
Cl 0.964 0.907 0.201
Cl 0.608 0.522 0.315
Cl 0.349 0.302 0.926
Cl 0.824 0.292 0.062
Cl 0.176 0.708 0.938
```

Calculated values
Space group ... C2/c, No. 15
Uncorrected energy ... -3.43 eV/atom